No. 1
Nd2Fe20Si2C | PBE | optimized geometry

Properties
Total energy in eV per atom: -8.053
Formation energy from the elements in eV/atom: -0.092

a b c (Å): 6.3954 7.8012 7.8160
angles (deg): 79.83 66.13 65.99
With the nearest neighbours (Å) after each atom.
Space group P-1 (No. 2)
Symmetry-distinct sites (fractional):
1 Nd 0.1286 0.2466 0.2503 [2 per cell]  1 C 2.65
2 Fe 0.0000 0.0000 0.0000 [1 per cell]  10 Fe 2.40-2.68
3 Fe 0.0619 0.0781 0.6669 [2 per cell]  1 Si 2.42, 9 Fe 2.47-2.69
4 Fe 0.0647 0.6742 0.0825 [2 per cell]  1 C 1.85
5 Fe 0.2272 0.5819 0.3336 [2 per cell]  1 Si 2.40, 8 Fe 2.45-2.66
6 Fe 0.2387 0.3251 0.5780 [2 per cell]  2 Si 2.40-2.42, 8 Fe 2.48-2.67
7 Fe 0.3127 0.8293 0.4200 [2 per cell]  2 Si 2.41-2.44, 8 Fe 2.47-2.69
8 Fe 0.3214 0.4199 0.8240 [2 per cell]  1 C 1.86
9 Fe 0.3569 0.0769 0.8236 [2 per cell]  9 Fe 2.40-2.65, 1 Si 2.41
10 Fe 0.3590 0.8324 0.0800 [2 per cell]  9 Fe 2.41-2.66
11 Fe 0.3782 0.7512 0.7477 [2 per cell]  2 Si 2.61-2.66, 10 Fe 2.64-2.73
12 Fe 0.5000 0.5000 0.0000 [1 per cell]  10 Fe 2.40-2.64
13 Si 0.5000 0.0000 0.5000 [1 per cell]  10 Fe 2.41-2.61
14 Si 0.5000 0.5000 0.5000 [1 per cell]  10 Fe 2.40-2.66
15 C 0.0000 0.5000 0.0000 [1 per cell]  4 Fe 1.85-1.86

---

No. 2
Pr2Fe17C3 | PBE | optimized geometry

Properties
Total energy in eV per atom: -8.252
Formation energy from the elements in eV/atom: -0.014

a b c (Å): 8.7881 8.7881 12.4841
angles (deg): 90.00 90.00 120.00
With the nearest neighbours (Å) after each atom.
Space group R-3m (No. 166, hexagonal axes)
Symmetry-distinct sites (fractional):
1 Pr 0.0000 0.0000 0.1550 [6 per cell]  3 C 2.54
2 Fe 0.0000 0.0000 0.4055 [6 per cell]  1 Fe 2.36
3 Fe 0.0000 0.2842 0.5000 [18 per cell]  1 C 1.90
4 Fe 0.0000 0.5000 0.0000 [9 per cell]  10 Fe 2.46-2.69
5 Fe 0.0118 0.5059 0.3469 [18 per cell]  1 C 1.91
6 C 0.0000 0.5000 0.5000 [9 per cell]  4 Fe 1.90-1.91

---

What did the second record say?
Pr2Fe17C3 | PBE | optimized geometry

Properties
Total energy in eV per atom: -8.252
Formation energy from the elements in eV/atom: -0.014

a b c (Å): 8.7881 8.7881 12.4841
angles (deg): 90.00 90.00 120.00
With the nearest neighbours (Å) after each atom.
Space group R-3m (No. 166, hexagonal axes)
Symmetry-distinct sites (fractional):
1 Pr 0.0000 0.0000 0.1550 [6 per cell]  3 C 2.54
2 Fe 0.0000 0.0000 0.4055 [6 per cell]  1 Fe 2.36
3 Fe 0.0000 0.2842 0.5000 [18 per cell]  1 C 1.90
4 Fe 0.0000 0.5000 0.0000 [9 per cell]  10 Fe 2.46-2.69
5 Fe 0.0118 0.5059 0.3469 [18 per cell]  1 C 1.91
6 C 0.0000 0.5000 0.5000 [9 per cell]  4 Fe 1.90-1.91